Material: CrSi2
Method: DFT, PBE-GGA
State: relaxed

a b c (Å): 4.410 4.410 6.371
angles (deg): 90.00 90.00 120.00
Fractional positions:
Cr1 0.000 0.500 0.167
Cr2 0.500 0.000 0.500
Cr3 0.500 0.500 0.833
Si1 0.166 0.332 0.500
Si2 0.166 0.834 0.833
Si3 0.332 0.166 0.167
Si4 0.668 0.834 0.167
Si5 0.834 0.166 0.833
Si6 0.834 0.668 0.500

Summary:
Piezoelectric modulus e_max in C/m2: 0.4
SG: P6_222 (180)

***

Material: NaNb3InSiP5O24
Method: DFT, PBE-GGA
State: relaxed

a b c (Å): 8.837 8.843 22.897
angles (deg): 90.09 90.10 119.98
Fractional positions:
Na1 0.000 0.000 0.000
Na2 0.002 0.998 0.501
Na3 0.333 0.668 0.656
Nb1 0.328 0.665 0.309
Nb2 0.332 0.663 0.809
Nb3 0.335 0.663 0.021
Nb4 0.667 0.334 0.186
Nb5 0.667 0.334 0.685
Nb6 0.668 0.334 0.970
Nb7 0.668 0.335 0.471
Nb8 0.998 0.000 0.850
Nb9 0.999 0.998 0.349
In1 0.333 0.669 0.517
In2 0.999 0.000 0.640
In3 0.999 0.999 0.142
Si1 0.047 0.670 0.414
Si2 0.051 0.380 0.913
Si3 0.620 0.670 0.914
P1 0.003 0.290 0.244
P2 0.003 0.713 0.744
P3 0.288 0.289 0.745
P4 0.289 0.998 0.244
P5 0.329 0.947 0.914
P6 0.330 0.377 0.412
P7 0.381 0.048 0.579
P8 0.382 0.330 0.078
P9 0.623 0.953 0.413
P10 0.665 0.618 0.578
P11 0.667 0.050 0.078
P12 0.708 0.712 0.244
P13 0.709 0.998 0.745
P14 0.949 0.618 0.078
P15 0.952 0.333 0.579
O1 0.014 0.834 0.398
O2 0.032 0.189 0.903
O3 0.042 0.221 0.189
O4 0.043 0.823 0.690
O5 0.128 0.500 0.580
O6 0.130 0.630 0.070
O7 0.138 0.501 0.856
O8 0.141 0.641 0.357
O9 0.159 0.473 0.258
O10 0.161 0.686 0.756
O11 0.163 0.722 0.471
O12 0.169 0.971 0.903
O13 0.172 0.192 0.399
O14 0.174 0.474 0.970
O15 0.177 0.221 0.690
O16 0.179 0.956 0.190
O17 0.199 0.174 0.799
O18 0.200 0.172 0.081
O19 0.201 0.032 0.298
O20 0.204 0.038 0.580
O21 0.287 0.443 0.467
O22 0.296 0.833 0.968
O23 0.317 0.477 0.756
O24 0.321 0.846 0.259
O25 0.360 0.867 0.858
O26 0.361 0.495 0.359
O27 0.372 0.502 0.071
O28 0.377 0.873 0.581
O29 0.471 0.309 0.737
O30 0.472 0.165 0.236
O31 0.475 0.312 0.024
O32 0.478 0.156 0.524
O33 0.491 0.130 0.923
O34 0.491 0.149 0.635
O35 0.491 0.354 0.420
O36 0.493 0.355 0.134
O37 0.496 0.872 0.070
O38 0.497 0.626 0.578
O39 0.501 0.643 0.856
O40 0.506 0.864 0.359
O41 0.523 0.843 0.757
O42 0.526 0.682 0.260
O43 0.531 0.705 0.971
O44 0.562 0.843 0.467
O45 0.637 0.497 0.924
O46 0.638 0.134 0.421
O47 0.645 0.140 0.134
O48 0.655 0.509 0.634
O49 0.676 0.519 0.523
O50 0.685 0.162 0.024
O51 0.693 0.529 0.235
O52 0.694 0.164 0.738
O53 0.776 0.820 0.190
O54 0.777 0.955 0.691
O55 0.810 0.987 0.399
O56 0.815 0.838 0.903
O57 0.827 0.025 0.799
O58 0.827 0.029 0.080
O59 0.831 0.800 0.298
O60 0.834 0.794 0.579
O61 0.836 0.522 0.024
O62 0.838 0.311 0.235
O63 0.838 0.530 0.737
O64 0.842 0.321 0.524
O65 0.852 0.343 0.634
O66 0.852 0.497 0.422
O67 0.858 0.354 0.924
O68 0.862 0.506 0.133
O69 0.958 0.163 0.580
O70 0.968 0.171 0.298
O71 0.968 0.798 0.080
O72 0.975 0.802 0.799

Summary:
SG: P1 (1)

***

Material: CeSe2
Method: DFT, PBE-GGA
State: relaxed

a b c (Å): 8.978 8.978 9.805
angles (deg): 90.00 90.00 90.00
Fractional positions:
Ce1 0.000 0.000 0.000
Ce2 0.000 0.500 0.250
Ce3 0.500 0.000 0.750
Ce4 0.500 0.500 0.500
Se1 0.105 0.250 0.125
Se2 0.250 0.605 0.375
Se3 0.250 0.895 0.875
Se4 0.395 0.250 0.625
Se5 0.605 0.750 0.625
Se6 0.750 0.105 0.875
Se7 0.750 0.395 0.375
Se8 0.895 0.750 0.125

Summary:
SG: I-42d (122)

***

Material: Cs2SiP2
Method: DFT, PBE-GGA
State: relaxed

a b c (Å): 8.720 8.720 8.720
angles (deg): 127.76 69.08 138.13
Fractional positions:
Cs1 0.146 0.172 0.318
Cs2 0.354 0.672 0.026
Cs3 0.646 0.328 0.974
Cs4 0.854 0.828 0.682
Si1 0.250 0.750 0.500
Si2 0.750 0.250 0.500
P1 0.087 0.647 0.735
P2 0.413 0.147 0.560
P3 0.587 0.853 0.440
P4 0.913 0.353 0.265

Summary:
SG: Ibam (72)

***

Material: EuIn3
Method: DFT, PBE-GGA
State: relaxed

a b c (Å): 4.712 4.712 4.712
angles (deg): 90.00 90.00 90.00
Fractional positions:
Eu1 0.000 0.000 0.000
In1 0.000 0.500 0.500
In2 0.500 0.000 0.500
In3 0.500 0.500 0.000

Summary:
SG: Pm-3m (221)

***

Material: Li3AsH36Se4N12
Method: DFT, PBE-GGA
State: relaxed

a b c (Å): 9.015 9.015 9.015
angles (deg): 109.47 109.47 109.47
Fractional positions:
Li1 0.000 0.500 0.500
Li2 0.500 0.000 0.500
Li3 0.500 0.500 0.000
As1 0.000 0.000 0.000
H1 0.000 0.612 0.800
H2 0.000 0.800 0.612
H3 0.109 0.503 0.834
H4 0.109 0.834 0.503
H5 0.166 0.276 0.669
H6 0.166 0.669 0.276
H7 0.188 0.388 0.388
H8 0.200 0.200 0.812
H9 0.200 0.812 0.200
H10 0.276 0.166 0.669
H11 0.276 0.669 0.166
H12 0.331 0.497 0.607
H13 0.331 0.607 0.497
H14 0.388 0.188 0.388
H15 0.388 0.388 0.188
H16 0.393 0.724 0.891
H17 0.393 0.891 0.724
H18 0.497 0.331 0.607
H19 0.497 0.607 0.331
H20 0.503 0.109 0.834
H21 0.503 0.834 0.109
H22 0.607 0.331 0.497
H23 0.607 0.497 0.331
H24 0.612 0.000 0.800
H25 0.612 0.800 0.000
H26 0.669 0.166 0.276
H27 0.669 0.276 0.166
H28 0.724 0.393 0.891
H29 0.724 0.891 0.393
H30 0.800 0.000 0.612
H31 0.800 0.612 0.000
H32 0.812 0.200 0.200
H33 0.834 0.109 0.503
H34 0.834 0.503 0.109
H35 0.891 0.393 0.724
H36 0.891 0.724 0.393
Se1 0.000 0.000 0.260
Se2 0.000 0.260 0.000
Se3 0.260 0.000 0.000
Se4 0.740 0.740 0.740
N1 0.000 0.493 0.738
N2 0.000 0.738 0.493
N3 0.245 0.507 0.507
N4 0.262 0.262 0.755
N5 0.262 0.755 0.262
N6 0.493 0.000 0.738
N7 0.493 0.738 0.000
N8 0.507 0.245 0.507
N9 0.507 0.507 0.245
N10 0.738 0.000 0.493
N11 0.738 0.493 0.000
N12 0.755 0.262 0.262

Summary:
SG: I-43m (217)

***

Calculated DFT formation energy (meV per atom), listed in the same order as above: -312, -2840, -1395, -467, -374, -481
Calculated calculated density (g/cm³), listed in the same order as above: 5.0, 3.2, 2.5, 3.4, 7.9, 1.8
Calculated calculated volume (Å³/cell), listed in the same order as above: 107.32, 1549.85, 790.35, 343.59, 104.59, 563.97